The following is a DFT calculation (meta-GGA r2SCAN) of V4S9Br4 after structural relaxation.

Properties
Density = 3.10 Mg/m³
Calculated volume = 25.6 Å³/atom
Crystal system = tetragonal
Calculated formation energy = -0.8847 eV per atom

```
data_V4S9Br4
_space_group_name_H-M_alt 'P 1'
_space_group_IT_number 1
_cell_length_a 10.939
_cell_length_b 10.939
_cell_length_c 7.261
_cell_angle_alpha 90.00
_cell_angle_beta 90.00
_cell_angle_gamma 90.00
loop_
_space_group_symop_operation_xyz
'x,y,z'
loop_
_atom_site_label
_atom_site_fract_x
_atom_site_fract_y
_atom_site_fract_z
V1 0.113 0.113 0.122
V2 0.113 0.387 0.122
V3 0.387 0.113 0.122
V4 0.387 0.387 0.122
V5 0.613 0.613 0.878
V6 0.613 0.887 0.878
V7 0.887 0.613 0.878
V8 0.887 0.887 0.878
S1 0.037 0.250 0.349
S2 0.056 0.750 0.890
S3 0.250 0.037 0.349
S4 0.250 0.250 0.980
S5 0.250 0.463 0.349
S6 0.250 0.556 0.110
S7 0.250 0.944 0.110
S8 0.444 0.750 0.890
S9 0.463 0.250 0.349
S10 0.537 0.750 0.651
S11 0.556 0.250 0.110
S12 0.750 0.056 0.890
S13 0.750 0.444 0.890
S14 0.750 0.537 0.651
S15 0.750 0.750 0.020
S16 0.750 0.963 0.651
S17 0.944 0.250 0.110
S18 0.963 0.750 0.651
Br1 0.052 0.052 0.785
Br2 0.052 0.448 0.785
Br3 0.448 0.052 0.785
Br4 0.448 0.448 0.785
Br5 0.552 0.552 0.215
Br6 0.552 0.948 0.215
Br7 0.948 0.552 0.215
Br8 0.948 0.948 0.215
```